1.
Density functional theory data (GGA-PBE) for an optimized crystal structure of FeSe.

Results
* E_form: -0.30 eV/atom
* volume: 31.4 Å³/f.u.
* space group: Pnma

Unit cell a=5.2843 b=3.8285 c=6.2067 alpha=90.00 beta=90.00 gamma=90.00
Fractional coordinates of all 8 atoms:
1 Fe 0.0152 0.2500 0.2115
2 Fe 0.4848 0.7500 0.7115
3 Fe 0.5152 0.2500 0.2885
4 Fe 0.9848 0.7500 0.7885
5 Se 0.2199 0.2500 0.5871
6 Se 0.2801 0.7500 0.0871
7 Se 0.7199 0.2500 0.9129
8 Se 0.7801 0.7500 0.4129

2.
Density functional theory data (GGA-PBE) for an optimized crystal structure of FeRu.

Results
* E_form: 0.13 eV/atom
* volume: 24.6 Å³/f.u.
* space group: P-6m2

Unit cell a=2.6428 b=2.6428 c=4.0702 alpha=90.00 beta=90.00 gamma=120.00
Fractional coordinates of all 2 atoms:
1 Fe 0.0000 0.0000 0.0000
2 Ru 0.6667 0.3333 0.5000